# Na2GdTa5O15

An optimized crystal structure of Na2GdTa5O15 (PBE-GGA, the Materials Project database). Values from VASP.

```
&SYSTEM
  ibrav = 0, nat = 46, ntyp = 4
/
ATOMIC_SPECIES
O 16.00 O.upf
Na 22.99 Na.upf
Ta 180.95 Ta.upf
Gd 157.25 Gd.upf
CELL_PARAMETERS angstrom
-11.351 0.021 5.497
2.138 -11.602 4.459
1.576 1.539 3.248
ATOMIC_POSITIONS angstrom
O -9.928 -7.619 8.425
Na -6.468 -1.206 6.080
O -3.665 -7.315 5.243
O -3.861 -9.754 6.493
O -4.888 0.780 4.373
O -8.481 -5.799 6.861
O -3.241 -5.118 3.996
O -0.380 -1.522 0.905
Ta -10.006 -2.441 6.011
Na -7.181 -7.004 9.172
O -1.742 -11.580 6.330
O -0.984 -8.382 4.448
O -1.488 -5.961 5.916
O -2.670 -2.580 2.517
O -9.736 -0.658 5.035
O 0.715 -3.963 1.530
O 1.604 -8.626 5.678
O -6.440 -9.881 10.175
Na -0.456 -3.039 4.031
Ta 0.793 -9.140 3.945
O 0.523 -10.924 4.921
O -0.732 -5.782 3.094
O -6.149 -4.082 7.287
O -7.471 -0.002 3.625
Gd -3.819 -5.022 6.602
O -8.229 -3.200 5.508
O -1.198 -0.162 3.029
Ta -2.031 -6.706 4.162
Ta -6.974 -10.675 8.440
O -5.548 -4.267 4.713
O -9.242 -1.417 7.525
O 1.857 -5.032 3.853
O -5.972 -6.464 5.959
O -8.833 -10.060 9.050
Gd 0.788 0.769 1.624
O -4.327 -7.226 7.893
Ta -7.182 -4.875 5.793
Na -1.170 -8.837 7.124
Ta -4.168 -3.332 3.601
O -6.544 -9.002 7.438
Ta -5.045 -8.250 6.355
Ta 1.069 -5.801 2.229
Ta -2.239 -0.907 1.516
Ta -5.676 0.010 2.748
O -5.352 -1.828 3.462
O -3.310 -2.818 5.311
```

Summary:
Formation energy ... -3.290 eV per atom
E_tot ... -431.17 eV/cell
Volume ... 13.6 Å³/atom
Magnetization ... 6.999 μB per formula unit

---

# NaGdTi2O6

An optimized crystal structure of NaGdTi2O6 (PBE-GGA, the Materials Project database). Values from VASP.

```
&SYSTEM
  ibrav = 0, nat = 20, ntyp = 4
/
ATOMIC_SPECIES
Ti 47.87 Ti.upf
O 16.00 O.upf
Gd 157.25 Gd.upf
Na 22.99 Na.upf
CELL_PARAMETERS angstrom
-5.245 -1.116 -0.451
0.567 -0.451 -5.486
1.524 -7.473 0.773
ATOMIC_POSITIONS angstrom
Ti 1.494 -5.932 -3.474
O 0.284 -5.669 -2.032
O -2.137 -6.994 -2.700
O -0.458 -2.904 -5.201
O -3.648 -5.117 -4.261
O -2.187 -4.519 -1.366
Ti 0.740 -2.234 -3.856
O -3.047 -2.533 -3.161
Gd 0.788 -3.839 -0.657
Na -5.063 -1.237 -1.979
Ti -2.160 -2.540 -1.480
Ti -1.390 -6.314 -1.090
O -2.096 -0.577 -1.447
O -0.066 -0.431 -4.042
Na -1.428 -4.615 -3.793
Gd -2.243 -0.942 -4.682
O 0.185 -6.057 -4.875
O -3.728 -2.458 -0.373
O -2.847 -6.778 0.074
O -0.330 -2.656 -2.343
```

Summary:
Formation energy ... -3.419 eV per atom
E_tot ... -181.90 eV/cell
Volume ... 11.4 Å³/atom
Magnetization ... 7.000 μB per formula unit

---

# NaGdTiO4

An optimized crystal structure of NaGdTiO4 (PBE-GGA, the Materials Project database). Values from VASP.

```
&SYSTEM
  ibrav = 0, nat = 14, ntyp = 4
/
ATOMIC_SPECIES
O 16.00 O.upf
Gd 157.25 Gd.upf
Ti 47.87 Ti.upf
Na 22.99 Na.upf
CELL_PARAMETERS angstrom
-3.560 -0.631 0.964
-0.046 -3.051 -2.166
3.973 -7.152 9.990
ATOMIC_POSITIONS angstrom
O 1.263 -7.360 7.108
Gd 0.397 -2.282 -0.027
O 0.907 -1.633 2.280
O -0.177 -3.202 4.514
O 2.347 -5.791 4.875
Ti -0.721 -2.221 3.144
Gd 1.773 -6.711 9.415
Na 1.633 -4.506 3.081
Na 0.537 -4.486 6.308
O 3.066 -5.519 7.709
O -1.516 -0.791 1.146
O -0.896 -3.474 1.679
Ti 2.891 -6.771 6.245
O 3.686 -8.202 8.243
```

Summary:
Formation energy ... -3.344 eV per atom
E_tot ... -127.49 eV/cell
Volume ... 12.9 Å³/atom
Magnetization ... 7.000 μB per formula unit

---

# NaGdTiO4

An optimized crystal structure of NaGdTiO4 (PBE-GGA, the Materials Project database). Values from VASP.

```
&SYSTEM
  ibrav = 0, nat = 28, ntyp = 4
/
ATOMIC_SPECIES
O 16.00 O.upf
Na 22.99 Na.upf
Ti 47.87 Ti.upf
Gd 157.25 Gd.upf
CELL_PARAMETERS angstrom
5.311 0.000 0.000
0.000 5.423 0.000
0.000 0.000 12.654
ATOMIC_POSITIONS angstrom
O 2.656 4.067 2.727
O 0.000 1.356 3.083
O 2.656 1.356 9.927
O 1.328 2.937 5.105
Na 3.983 5.378 7.419
O 0.000 1.356 9.927
Ti 1.328 2.756 3.356
O 3.983 2.486 7.549
Gd 1.328 0.122 1.349
O 0.000 4.067 2.727
O 1.328 5.071 11.828
O 1.328 0.225 7.549
Gd 1.328 2.834 11.305
Na 1.328 2.757 7.419
Ti 3.983 5.379 3.356
O 3.983 0.352 0.826
O 2.656 1.356 3.083
O 3.983 3.064 11.828
Gd 3.983 5.301 11.305
Ti 3.983 2.667 9.298
O 3.983 5.198 5.105
O 1.328 2.360 0.826
O 0.000 4.067 9.571
Gd 3.983 2.589 1.349
O 2.656 4.067 9.571
Na 3.983 2.667 5.235
Na 1.328 0.045 5.235
Ti 1.328 0.044 9.298
```

Summary:
Formation energy ... -3.355 eV per atom
E_tot ... -255.30 eV/cell
Volume ... 13.0 Å³/atom
Magnetization ... 6.975 μB per formula unit

---

# NaGdSe2

An optimized crystal structure of NaGdSe2 (PBE-GGA, the Materials Project database). Values from VASP.

```
&SYSTEM
  ibrav = 0, nat = 4, ntyp = 3
/
ATOMIC_SPECIES
Na 22.99 Na.upf
Se 78.96 Se.upf
Gd 157.25 Gd.upf
CELL_PARAMETERS angstrom
-1.004 -3.444 2.186
-3.932 -1.474 -0.092
-0.022 -5.624 -4.834
ATOMIC_POSITIONS angstrom
Na -2.479 -5.271 -1.370
Se -1.272 -2.556 -0.574
Gd 0.000 0.000 0.000
Se -3.686 -7.986 -2.166
```

Summary:
Formation energy ... -1.941 eV per atom
E_tot ... -29.21 eV/cell
Volume ... 26.8 Å³/atom

---

# NaGdTl2

An optimized crystal structure of NaGdTl2 (PBE-GGA, the Materials Project database). Values from VASP.

```
&SYSTEM
  ibrav = 0, nat = 4, ntyp = 3
/
ATOMIC_SPECIES
Tl 204.38 Tl.upf
Gd 157.25 Gd.upf
Na 22.99 Na.upf
CELL_PARAMETERS angstrom
0.000 3.862 3.862
3.862 0.000 3.862
3.862 3.862 0.000
ATOMIC_POSITIONS angstrom
Tl 1.931 1.931 1.931
Tl 5.793 5.793 5.793
Gd 3.862 3.862 3.862
Na 0.000 0.000 0.000
```

Summary:
Formation energy ... -0.246 eV per atom
E_tot ... -21.11 eV/cell
Volume ... 28.8 Å³/atom

---

# Gd3NbO7

An optimized crystal structure of Gd3NbO7 (PBE-GGA, the Materials Project database). Values from VASP.

```
&SYSTEM
  ibrav = 0, nat = 22, ntyp = 3
/
ATOMIC_SPECIES
O 16.00 O.upf
Gd 157.25 Gd.upf
Nb 92.91 Nb.upf
CELL_PARAMETERS angstrom
5.540 0.000 0.000
0.000 7.654 0.000
0.000 3.442 7.572
ATOMIC_POSITIONS angstrom
O 4.480 3.722 2.265
O 1.712 3.988 6.258
O 1.098 7.371 5.379
O 4.338 1.924 0.021
O 4.118 6.071 3.824
Gd 2.541 5.381 1.866
Gd 5.505 3.858 0.052
Nb 5.490 7.398 3.840
O 1.202 5.751 0.021
O 1.422 2.244 3.824
O 4.397 8.963 3.701
Gd 0.034 0.031 0.052
Gd 2.585 9.546 5.782
O 1.855 3.214 1.057
O 1.060 7.548 2.265
Gd 2.955 5.719 5.782
O 4.442 3.545 5.379
Nb 0.049 3.571 3.840
O 1.142 5.136 3.701
Gd 2.999 1.554 1.866
O 3.685 7.041 1.057
O 3.827 7.815 6.258
```

Summary:
Formation energy ... -3.584 eV per atom
E_tot ... -243.17 eV/cell
Volume ... 14.6 Å³/atom
Magnetization ... 7.000 μB per formula unit

---

# Gd3NbO7

An optimized crystal structure of Gd3NbO7 (PBE-GGA, the Materials Project database). Values from VASP.

```
&SYSTEM
  ibrav = 0, nat = 22, ntyp = 3
/
ATOMIC_SPECIES
O 16.00 O.upf
Gd 157.25 Gd.upf
Nb 92.91 Nb.upf
CELL_PARAMETERS angstrom
-5.309 6.221 -1.089
4.543 -1.234 6.776
3.983 3.028 -2.118
ATOMIC_POSITIONS angstrom
O 1.888 1.224 2.018
O 3.611 5.319 3.741
O -0.395 2.696 -0.172
O 1.328 6.791 1.551
O -1.889 5.085 0.368
O 5.105 2.930 3.201
O -4.360 6.780 -1.452
O 1.550 3.427 4.530
O 7.576 1.235 5.020
O 4.039 2.535 0.566
Gd 5.480 1.253 4.722
O 0.351 3.215 2.310
Gd -2.264 6.762 -1.153
Nb -0.192 1.247 1.422
Nb -0.575 3.740 4.265
Gd 2.893 3.210 2.657
O 2.865 4.800 1.258
O -0.823 5.480 3.002
Gd -2.655 3.111 -0.545
Gd 2.271 -0.617 3.388
O 1.666 4.588 -0.961
Gd 0.323 4.805 0.912
```

Summary:
Formation energy ... -3.441 eV per atom
E_tot ... -240.02 eV/cell
Volume ... 13.7 Å³/atom
Magnetization ... 7.000 μB per formula unit

---

# Gd3NbO7

An optimized crystal structure of Gd3NbO7 (PBE-GGA, the Materials Project database). Values from VASP.

```
&SYSTEM
  ibrav = 0, nat = 22, ntyp = 3
/
ATOMIC_SPECIES
O 16.00 O.upf
Gd 157.25 Gd.upf
Nb 92.91 Nb.upf
CELL_PARAMETERS angstrom
-4.436 3.717 -3.072
-2.306 -2.063 5.776
2.866 6.194 3.357
ATOMIC_POSITIONS angstrom
O -2.111 2.242 1.973
O -0.815 4.584 1.498
O -4.829 2.120 0.854
O -2.023 0.284 5.510
O 0.952 5.728 5.206
O -3.061 3.264 4.562
Gd -3.127 7.145 2.410
O -1.853 7.563 0.550
O -3.610 4.754 2.282
Gd -1.725 3.352 -0.405
O -4.280 0.630 3.135
Gd 1.433 3.097 1.678
Gd -0.749 0.703 3.650
Nb -1.938 3.924 3.030
O -0.266 3.094 3.778
O -0.285 3.306 7.066
O -3.591 4.541 -1.006
Gd 0.000 0.000 0.000
Gd -2.151 4.496 6.465
O -1.766 5.606 4.087
O 0.404 7.217 2.925
Nb -3.371 0.827 1.352
```

Summary:
Formation energy ... -3.672 eV per atom
E_tot ... -245.11 eV/cell
Volume ... 13.9 Å³/atom
Magnetization ... 21.000 μB per formula unit

---

# Gd3NbO7

An optimized crystal structure of Gd3NbO7 (PBE-GGA, the Materials Project database). Values from VASP.

```
&SYSTEM
  ibrav = 0, nat = 22, ntyp = 3
/
ATOMIC_SPECIES
O 16.00 O.upf
Gd 157.25 Gd.upf
Nb 92.91 Nb.upf
CELL_PARAMETERS angstrom
-5.971 0.627 2.653
1.795 -6.312 0.153
3.157 1.064 6.853
ATOMIC_POSITIONS angstrom
O 1.659 -1.449 3.381
O 1.280 -2.938 6.221
O -0.885 -4.882 5.165
O -1.335 -2.719 9.194
O -0.067 0.383 4.523
Gd -4.231 -2.487 4.424
Gd 3.190 -2.140 5.188
O -0.231 -3.530 2.773
Gd 0.979 -5.173 6.736
O -2.295 -5.457 2.221
O -2.616 -3.118 6.162
Gd -1.991 -2.711 1.338
O 2.070 -5.586 2.032
O -2.299 -1.683 3.438
Gd -1.976 0.560 2.971
O 1.268 0.734 7.538
O -3.089 0.966 7.627
Gd -0.606 -2.442 4.895
Nb 1.567 0.516 3.434
Nb -4.164 -5.669 2.799
O 0.195 -1.975 0.454
O -0.788 -1.090 6.887
```

Summary:
Formation energy ... -3.691 eV per atom
E_tot ... -245.53 eV/cell
Volume ... 14.1 Å³/atom

---

# Gd3NbO7

An optimized crystal structure of Gd3NbO7 (PBE-GGA, the Materials Project database). Values from VASP.

```
&SYSTEM
  ibrav = 0, nat = 22, ntyp = 3
/
ATOMIC_SPECIES
Gd 157.25 Gd.upf
O 16.00 O.upf
Nb 92.91 Nb.upf
CELL_PARAMETERS angstrom
-5.276 -0.422 3.845
4.935 -3.376 2.656
2.245 6.245 3.766
ATOMIC_POSITIONS angstrom
Gd 0.952 1.224 5.134
O 4.829 -1.622 3.675
O 0.130 3.185 6.236
Gd -0.171 -1.899 3.251
Gd 3.041 -2.010 5.385
O 2.045 -0.494 6.841
O 0.632 3.362 9.019
Gd -1.137 4.457 4.883
O 2.252 1.812 2.892
O -0.348 0.635 7.375
O 0.840 5.668 5.071
O -2.925 4.069 6.592
Nb 0.000 0.000 0.000
O 1.065 -3.221 5.197
O 2.849 2.399 5.919
O 1.272 -0.914 1.248
O -0.945 0.049 4.348
O 1.774 -0.738 4.031
O -0.141 2.942 3.426
Nb 1.123 3.123 1.883
Gd -1.296 2.693 7.903
Gd 3.200 -0.245 2.364
```

Summary:
Formation energy ... -3.688 eV per atom
E_tot ... -245.45 eV/cell
Volume ... 14.0 Å³/atom

---

# Gd3NbO7

An optimized crystal structure of Gd3NbO7 (PBE-GGA, the Materials Project database). Values from VASP.

```
&SYSTEM
  ibrav = 0, nat = 44, ntyp = 3
/
ATOMIC_SPECIES
O 16.00 O.upf
Nb 92.91 Nb.upf
Gd 157.25 Gd.upf
CELL_PARAMETERS angstrom
7.568 0.000 0.000
0.000 7.581 0.000
0.000 0.000 10.768
ATOMIC_POSITIONS angstrom
O 1.281 5.696 2.692
O 4.146 0.265 6.729
O 4.398 3.481 9.540
O 0.362 3.525 4.039
O 6.955 7.271 9.540
O 0.362 3.525 1.345
O 2.045 5.712 9.507
O 0.614 0.310 1.229
O 2.045 5.712 6.645
O 1.739 1.921 6.645
O 4.146 0.265 9.424
Nb 1.842 7.561 2.692
Gd 0.286 5.678 0.231
O 3.423 7.316 1.345
Gd 0.286 5.678 5.153
Nb 1.942 3.771 2.692
O 5.523 1.869 1.261
O 7.207 4.056 6.729
O 3.423 7.316 4.039
Gd 2.205 0.079 8.076
O 5.523 1.869 4.123
O 3.171 4.100 1.229
Gd 3.498 1.887 5.153
Gd 1.579 3.869 8.076
O 1.739 1.921 9.507
O 5.829 5.660 4.123
O 0.614 0.310 4.155
O 6.288 1.885 8.076
Gd 5.363 7.502 2.692
O 7.207 4.056 9.424
Gd 7.282 1.903 10.537
Gd 4.070 5.694 10.537
O 3.171 4.100 4.155
O 5.065 5.675 8.076
O 2.503 1.906 2.692
Gd 7.282 1.903 5.616
Gd 5.989 3.712 2.692
O 4.398 3.481 6.613
Gd 3.498 1.887 0.231
Nb 5.726 0.020 8.076
O 5.829 5.660 1.261
O 6.955 7.271 6.613
Nb 5.626 3.810 8.076
Gd 4.070 5.694 5.616
```

Summary:
Formation energy ... -3.685 eV per atom
E_tot ... -490.77 eV/cell
Volume ... 14.0 Å³/atom
Magnetization ... 21.001 μB per formula unit

---

# Gd3NbO7

An optimized crystal structure of Gd3NbO7 (PBE-GGA, the Materials Project database). Values from VASP.

```
&SYSTEM
  ibrav = 0, nat = 22, ntyp = 3
/
ATOMIC_SPECIES
O 16.00 O.upf
Gd 157.25 Gd.upf
Nb 92.91 Nb.upf
CELL_PARAMETERS angstrom
1.932 -5.838 2.001
-3.954 1.359 5.053
-4.357 -3.338 -5.400
ATOMIC_POSITIONS angstrom
O -2.433 -2.242 3.262
Gd -6.140 -4.337 2.068
Gd -3.318 -2.104 1.138
O 0.869 -4.208 1.515
O -3.829 -2.001 -1.494
O -7.248 -3.610 0.139
Gd -0.905 -4.072 3.189
Nb -2.179 -1.669 -2.700
O -1.874 -3.836 1.068
O -0.994 -5.667 -0.847
O -3.945 -5.576 -1.608
Nb 0.000 0.000 0.000
O -5.177 -6.486 2.622
O -2.550 -5.817 3.148
Gd -5.473 -3.746 -1.535
O -1.301 -0.157 1.523
Gd -0.238 -3.481 -0.414
Gd -3.061 -5.714 0.516
O -1.202 -1.332 -0.968
O -5.385 -2.151 2.501
O -5.078 -7.661 0.131
O -4.505 -3.982 0.586
```

Summary:
Formation energy ... -3.693 eV per atom
E_tot ... -245.57 eV/cell
Volume ... 14.1 Å³/atom